Entry 1:
Density functional theory data (PBE+U) for a relaxed structure of Li7V3P8O29.

## Properties
Excess energy over the best structure of this formula in the dataset (eV/atom): 0.008
Final energy (eV per cell): -657.17
Magnetic moment (Bohr magnetons per cell): 8.00

abc: 9.806 9.832 13.911
angles: 89.82 89.92 60.16
Fractional positions:
Li  0.000  0.000  0.000
Li  0.000  0.424  0.497
Li  0.094  0.670  0.675
Li  0.098  0.236  0.123
Li  0.422  0.006  0.448
Li  0.432  0.426  0.000
Li  0.451  0.552  0.500
Li  0.522  0.675  0.121
Li  0.539  0.236  0.624
Li  0.670  0.098  0.128
Li  0.674  0.657  0.619
Li  0.758  0.343  0.064
Li  0.866  0.232  0.582
Li  0.866  0.571  0.002
V  0.200  0.901  0.812
V  0.202  0.329  0.309
V  0.327  0.769  0.313
V  0.330  0.333  0.811
V  0.763  0.772  0.812
V  0.769  0.897  0.312
P  0.075  0.249  0.903
P  0.076  0.106  0.404
P  0.097  0.667  0.933
P  0.099  0.665  0.433
P  0.435  0.992  0.189
P  0.435  0.997  0.689
P  0.446  0.564  0.717
P  0.455  0.420  0.219
P  0.540  0.643  0.903
P  0.543  0.236  0.404
P  0.676  0.651  0.403
P  0.681  0.104  0.911
P  0.848  0.560  0.217
P  0.857  0.023  0.726
P  0.986  0.424  0.715
P  0.995  0.019  0.216
O  0.012  0.416  0.216
O  0.027  0.993  0.725
O  0.078  0.664  0.040
O  0.088  0.823  0.898
O  0.097  0.081  0.903
O  0.097  0.251  0.406
O  0.099  0.515  0.399
O  0.102  0.672  0.541
O  0.134  0.440  0.724
O  0.149  0.862  0.228
O  0.232  0.244  0.896
O  0.244  0.958  0.391
O  0.251  0.664  0.391
O  0.252  0.525  0.895
O  0.280  0.139  0.222
O  0.280  0.706  0.736
O  0.290  0.000  0.737
O  0.299  0.422  0.226
O  0.382  0.798  0.893
O  0.398  0.216  0.393
O  0.434  0.586  0.220
O  0.435  0.415  0.715
O  0.442  0.145  0.721
O  0.442  0.842  0.240
O  0.445  0.964  0.083
O  0.446  0.976  0.582
O  0.512  0.665  0.408
O  0.518  0.249  0.906
O  0.524  0.582  0.627
O  0.537  0.325  0.494
O  0.543  0.549  0.991
O  0.553  0.333  0.131
O  0.557  0.334  0.314
O  0.558  0.544  0.808
O  0.579  0.006  0.229
O  0.585  0.848  0.734
O  0.653  0.817  0.387
O  0.676  0.951  0.896
O  0.682  0.668  0.905
O  0.691  0.073  0.399
O  0.757  0.559  0.129
O  0.761  0.543  0.311
O  0.763  0.127  0.644
O  0.767  0.102  0.002
O  0.772  0.572  0.492
O  0.782  0.117  0.824
O  0.840  0.590  0.719
O  0.848  0.715  0.229
O  0.849  0.998  0.219
O  0.866  0.861  0.730
O  0.953  0.660  0.884
O  0.955  0.809  0.386
O  0.972  0.333  0.808
O  0.978  0.336  0.991
O  0.978  0.341  0.626
O  0.980  0.128  0.305
O  0.986  0.095  0.486
O  0.992  0.108  0.126


Entry 2:
Density functional theory data (PBE+U) for a relaxed structure of Li5V3P8O29.

## Properties
Excess energy over the best structure of this formula in the dataset (eV/atom): 0.002
Final energy (eV per cell): -632.82
Magnetic moment (Bohr magnetons per cell): 4.00

abc: 9.787 9.803 14.084
angles: 89.74 89.24 60.31
Fractional positions:
Li  0.000  0.000  0.000
Li  0.003  0.588  0.505
Li  0.091  0.678  0.879
Li  0.095  0.238  0.335
Li  0.104  0.813  0.384
Li  0.445  0.003  0.508
Li  0.449  0.136  0.001
Li  0.678  0.227  0.879
Li  0.737  0.963  0.443
Li  0.856  0.595  0.004
V  0.206  0.471  0.689
V  0.206  0.908  0.189
V  0.345  0.904  0.695
V  0.346  0.341  0.195
V  0.768  0.475  0.200
V  0.776  0.341  0.688
P  0.001  0.591  0.286
P  0.002  0.996  0.782
P  0.090  0.821  0.599
P  0.093  0.674  0.101
P  0.104  0.246  0.074
P  0.112  0.236  0.572
P  0.433  0.577  0.316
P  0.435  0.574  0.813
P  0.449  0.141  0.786
P  0.455  0.000  0.289
P  0.547  0.823  0.106
P  0.550  0.218  0.605
P  0.689  0.227  0.100
P  0.691  0.686  0.604
P  0.858  0.589  0.788
P  0.859  0.127  0.284
O  0.009  0.898  0.509
O  0.011  0.675  0.372
O  0.017  0.906  0.872
O  0.019  0.659  0.012
O  0.026  0.569  0.778
O  0.032  0.987  0.279
O  0.100  0.395  0.606
O  0.101  0.095  0.110
O  0.108  0.253  0.969
O  0.108  0.824  0.100
O  0.114  0.653  0.604
O  0.122  0.233  0.465
O  0.154  0.007  0.763
O  0.154  0.428  0.271
O  0.246  0.821  0.615
O  0.252  0.526  0.122
O  0.255  0.244  0.118
O  0.267  0.092  0.611
O  0.285  0.577  0.772
O  0.285  0.723  0.277
O  0.290  0.286  0.766
O  0.291  0.015  0.275
O  0.391  0.372  0.613
O  0.393  0.815  0.124
O  0.424  0.592  0.918
O  0.430  0.566  0.421
O  0.431  0.993  0.778
O  0.433  0.168  0.273
O  0.434  0.724  0.763
O  0.436  0.428  0.266
O  0.518  0.827  0.606
O  0.520  0.245  0.104
O  0.523  0.151  0.877
O  0.533  0.935  0.381
O  0.534  0.921  0.022
O  0.563  0.114  0.524
O  0.568  0.899  0.203
O  0.570  0.121  0.702
O  0.584  0.572  0.272
O  0.585  0.425  0.776
O  0.677  0.385  0.118
O  0.685  0.255  0.608
O  0.690  0.656  0.105
O  0.691  0.531  0.610
O  0.760  0.707  0.704
O  0.771  0.150  0.008
O  0.774  0.108  0.366
O  0.780  0.707  0.524
O  0.782  0.111  0.186
O  0.784  0.655  0.881
O  0.856  0.160  0.783
O  0.861  0.564  0.287
O  0.867  0.430  0.764
O  0.872  0.279  0.278
O  0.956  0.392  0.120
O  0.970  0.228  0.614
O  0.982  0.696  0.192
O  0.982  0.907  0.692


Entry 3:
Density functional theory data (PBE+U) for a relaxed structure of LiVP2O7.

## Properties
Final energy (eV per cell): -318.20
Magnetic moment (Bohr magnetons per cell): 8.00

abc: 7.058 8.298 9.102
angles: 90.00 114.58 90.00
Fractional positions:
Li  0.204  0.052  0.330
Li  0.204  0.448  0.830
Li  0.796  0.552  0.170
Li  0.796  0.948  0.670
V  0.263  0.078  0.887
V  0.263  0.422  0.387
V  0.737  0.578  0.613
V  0.737  0.922  0.113
P  0.037  0.732  0.967
P  0.037  0.768  0.467
P  0.441  0.737  0.259
P  0.441  0.763  0.759
P  0.559  0.237  0.241
P  0.559  0.263  0.741
P  0.963  0.232  0.533
P  0.963  0.268  0.033
O  0.023  0.096  0.659
O  0.023  0.404  0.159
O  0.077  0.605  0.403
O  0.077  0.895  0.903
O  0.119  0.248  0.456
O  0.119  0.252  0.956
O  0.250  0.665  0.103
O  0.250  0.835  0.603
O  0.382  0.248  0.299
O  0.382  0.252  0.799
O  0.385  0.610  0.816
O  0.385  0.890  0.316
O  0.486  0.594  0.383
O  0.486  0.906  0.883
O  0.514  0.094  0.117
O  0.514  0.406  0.617
O  0.615  0.110  0.684
O  0.615  0.390  0.184
O  0.618  0.748  0.201
O  0.618  0.752  0.701
O  0.750  0.165  0.397
O  0.750  0.335  0.897
O  0.881  0.748  0.044
O  0.881  0.752  0.544
O  0.923  0.105  0.097
O  0.923  0.395  0.597
O  0.977  0.596  0.841
O  0.977  0.904  0.341


Entry 4:
Density functional theory data (PBE+U) for a relaxed structure of Li5V3P8O29.

## Properties
Excess energy over the best structure of this formula in the dataset (eV/atom): 0.003
Final energy (eV per cell): -632.78
Magnetic moment (Bohr magnetons per cell): 4.00

abc: 9.800 9.803 13.870
angles: 89.99 89.97 60.03
Fractional positions:
Li  0.096  0.177  0.439
Li  0.096  0.727  0.941
Li  0.228  0.182  0.941
Li  0.230  0.596  0.439
Li  0.325  0.272  0.561
Li  0.675  0.728  0.439
Li  0.770  0.404  0.561
Li  0.772  0.818  0.059
Li  0.904  0.273  0.059
Li  0.904  0.823  0.561
V  0.001  0.068  0.251
V  0.434  0.067  0.752
V  0.434  0.497  0.244
V  0.566  0.503  0.756
V  0.566  0.933  0.248
V  0.999  0.932  0.749
P  0.088  0.181  0.658
P  0.088  0.732  0.158
P  0.230  0.183  0.157
P  0.234  0.586  0.657
P  0.314  0.415  0.844
P  0.320  0.269  0.342
P  0.330  0.834  0.874
P  0.335  0.830  0.374
P  0.665  0.170  0.626
P  0.670  0.166  0.126
P  0.680  0.731  0.658
P  0.686  0.585  0.156
P  0.766  0.414  0.343
P  0.770  0.817  0.843
P  0.912  0.268  0.842
P  0.912  0.819  0.342
O  0.000  0.259  0.567
O  0.000  0.741  0.433
O  0.001  0.291  0.750
O  0.001  0.739  0.068
O  0.082  0.162  0.161
O  0.085  0.751  0.657
O  0.097  0.021  0.675
O  0.099  0.880  0.175
O  0.186  0.826  0.833
O  0.187  0.986  0.334
O  0.209  0.291  0.250
O  0.211  0.495  0.747
O  0.233  0.510  0.930
O  0.238  0.256  0.065
O  0.239  0.264  0.432
O  0.245  0.499  0.565
O  0.255  0.163  0.659
O  0.255  0.584  0.164
O  0.327  0.986  0.834
O  0.329  0.683  0.330
O  0.332  0.828  0.481
O  0.336  0.248  0.842
O  0.336  0.419  0.339
O  0.336  0.829  0.981
O  0.381  0.022  0.177
O  0.384  0.594  0.677
O  0.477  0.405  0.824
O  0.479  0.121  0.325
O  0.481  0.685  0.827
O  0.489  0.823  0.334
O  0.511  0.177  0.666
O  0.519  0.315  0.173
O  0.521  0.879  0.675
O  0.523  0.595  0.176
O  0.616  0.406  0.323
O  0.619  0.978  0.823
O  0.664  0.171  0.019
O  0.664  0.581  0.661
O  0.664  0.752  0.158
O  0.668  0.172  0.519
O  0.671  0.317  0.670
O  0.673  0.014  0.166
O  0.745  0.416  0.836
O  0.745  0.837  0.341
O  0.755  0.501  0.435
O  0.761  0.736  0.568
O  0.762  0.744  0.935
O  0.767  0.490  0.070
O  0.789  0.505  0.253
O  0.791  0.709  0.750
O  0.813  0.014  0.666
O  0.814  0.174  0.167
O  0.901  0.120  0.825
O  0.903  0.979  0.325
O  0.915  0.249  0.343
O  0.918  0.838  0.839
O  0.999  0.261  0.932
O  0.999  0.709  0.250


Entry 5:
Density functional theory data (PBE+U) for a relaxed structure of Li7V3P8O29.

## Properties
Excess energy over the best structure of this formula in the dataset (eV/atom): 0.003
Final energy (eV per cell): -657.64
Magnetic moment (Bohr magnetons per cell): 8.00

abc: 9.837 9.882 13.905
angles: 90.05 90.16 119.69
Fractional positions:
Li  0.000  0.000  0.000
Li  0.004  0.994  0.505
Li  0.016  0.440  0.950
Li  0.021  0.574  0.452
Li  0.114  0.352  0.326
Li  0.248  0.341  0.826
Li  0.253  0.893  0.329
Li  0.362  0.709  0.879
Li  0.434  0.443  0.449
Li  0.441  0.998  0.949
Li  0.569  0.989  0.450
Li  0.575  0.573  0.948
Li  0.652  0.756  0.328
Li  0.679  0.340  0.771
V  0.342  0.232  0.638
V  0.343  0.098  0.139
V  0.773  0.664  0.138
V  0.777  0.099  0.641
V  0.907  0.234  0.137
V  0.910  0.669  0.642
P  0.009  0.999  0.262
P  0.015  0.007  0.761
P  0.024  0.438  0.731
P  0.025  0.584  0.233
P  0.110  0.344  0.544
P  0.118  0.756  0.047
P  0.252  0.348  0.044
P  0.252  0.898  0.546
P  0.428  0.432  0.229
P  0.433  0.984  0.732
P  0.566  0.575  0.733
P  0.577  0.989  0.232
P  0.653  0.890  0.047
P  0.662  0.757  0.547
P  0.672  0.334  0.013
P  0.676  0.331  0.515
O  0.009  0.583  0.729
O  0.011  0.424  0.232
O  0.011  0.994  0.370
O  0.013  0.863  0.722
O  0.015  0.151  0.224
O  0.019  0.024  0.868
O  0.091  0.336  0.043
O  0.092  0.673  0.325
O  0.093  0.749  0.543
O  0.095  0.424  0.456
O  0.110  0.430  0.819
O  0.126  0.447  0.638
O  0.130  0.665  0.965
O  0.139  0.682  0.146
O  0.157  0.992  0.222
O  0.164  0.158  0.720
O  0.226  0.040  0.563
O  0.233  0.185  0.059
O  0.261  0.333  0.542
O  0.261  0.926  0.047
O  0.340  0.420  0.319
O  0.340  0.453  0.138
O  0.340  0.882  0.639
O  0.346  0.433  0.956
O  0.349  0.922  0.458
O  0.353  0.899  0.822
O  0.417  0.413  0.726
O  0.422  0.997  0.228
O  0.438  0.283  0.209
O  0.443  0.146  0.721
O  0.523  0.326  0.561
O  0.529  0.180  0.053
O  0.545  0.875  0.966
O  0.556  0.657  0.822
O  0.558  0.667  0.639
O  0.560  0.874  0.146
O  0.583  0.664  0.458
O  0.584  0.911  0.324
O  0.592  0.579  0.229
O  0.598  0.008  0.725
O  0.657  0.320  0.409
O  0.663  0.332  0.904
O  0.664  0.479  0.052
O  0.670  0.917  0.547
O  0.677  0.744  0.050
O  0.680  0.184  0.558
O  0.710  0.555  0.723
O  0.717  0.149  0.214
O  0.815  0.035  0.052
O  0.822  0.480  0.552
O  0.827  0.344  0.048
O  0.829  0.783  0.561
O  0.856  0.851  0.222
O  0.859  0.291  0.719
O  0.865  0.573  0.207
O  0.870  0.014  0.717
O  0.968  0.179  0.558
O  0.968  0.770  0.055